No. 1
Hg | meta-GGA r2SCAN | optimized geometry

Computed properties:
* E: -49.36 eV per atom
* formation energy from the elements: 0.0060 eV per atom

a b c (Å): 3.462 3.462 5.488
angles (deg): 90.00 90.00 120.00
Fractional positions:
Hg (0.333, 0.667, 0.250)
Hg (0.667, 0.333, 0.750)



No. 2
Yb5Zr3Ni16As12 | meta-GGA r2SCAN | optimized geometry

Computed properties:
* E: -18.07 eV per atom
* formation energy from the elements: -0.8721 eV per atom

a b c (Å): 12.636 12.636 3.871
angles (deg): 90.00 90.00 120.00
Fractional positions:
Yb (0.000, 0.183, 0.500)
Yb (0.817, 0.817, 0.500)
Yb (0.183, 0.000, 0.500)
Yb (0.667, 0.333, 0.000)
Yb (0.333, 0.667, 0.000)
Zr (0.000, 0.563, 0.000)
Zr (0.437, 0.437, 0.000)
Zr (0.563, 0.000, 0.000)
Ni (0.000, 0.724, 0.500)
Ni (0.276, 0.276, 0.500)
Ni (0.724, 0.000, 0.500)
Ni (0.808, 0.183, 0.000)
Ni (0.817, 0.625, 0.000)
Ni (0.375, 0.192, 0.000)
Ni (0.183, 0.808, 0.000)
Ni (0.625, 0.817, 0.000)
Ni (0.192, 0.375, 0.000)
Ni (0.879, 0.362, 0.500)
Ni (0.638, 0.517, 0.500)
Ni (0.483, 0.121, 0.500)
Ni (0.362, 0.879, 0.500)
Ni (0.517, 0.638, 0.500)
Ni (0.121, 0.483, 0.500)
Ni (0.000, 0.000, 0.000)
As (0.000, 0.823, 0.000)
As (0.177, 0.177, 0.000)
As (0.823, 0.000, 0.000)
As (0.694, 0.174, 0.500)
As (0.826, 0.520, 0.500)
As (0.480, 0.306, 0.500)
As (0.174, 0.694, 0.500)
As (0.520, 0.826, 0.500)
As (0.306, 0.480, 0.500)
As (0.000, 0.354, 0.000)
As (0.646, 0.646, 0.000)
As (0.354, 0.000, 0.000)



Among the records above, which one has the highest formation energy from the elements? Hg